Entry 1:
Li2VCrP2O8F2: optimized geometry, PBE+U.

Lattice parameters (Å, degrees): 5.372 10.226 7.347 76.01 73.07 99.90
Fractional coordinates of all 32 atoms:
O 0.399 0.064 0.824
O 0.686 0.346 0.997
O 0.339 0.125 0.483
O 0.437 0.684 0.402
O 0.563 0.316 0.598
O 0.899 0.564 0.324
O 0.937 0.184 0.902
O 0.814 0.154 0.503
O 0.314 0.654 0.003
O 0.186 0.846 0.497
O 0.839 0.625 0.983
O 0.101 0.436 0.676
O 0.161 0.375 0.017
O 0.063 0.816 0.098
O 0.661 0.875 0.517
O 0.601 0.936 0.176
P 0.980 0.340 0.900
P 0.480 0.840 0.400
P 0.020 0.660 0.100
P 0.520 0.160 0.600
Li 0.519 0.136 0.053
Li 0.981 0.364 0.447
Li 0.481 0.864 0.947
Li 0.019 0.636 0.553
V 0.000 0.000 0.000
V 0.500 0.500 0.500
F 0.635 0.564 0.704
F 0.135 0.064 0.204
F 0.365 0.436 0.296
F 0.865 0.936 0.796
Cr 0.000 0.000 0.500
Cr 0.500 0.500 0.000


Entry 2:
V30Cu34O95: optimized geometry, PBE+U.

- Space group: R-3 (148)

Lattice parameters (Å, degrees): 12.959 12.959 14.230 117.09 62.91 120.00
Fractional coordinates of all 159 atoms:
Cu 0.780 0.703 0.943
Cu 0.022 0.781 0.057
Cu 0.297 0.021 0.943
Cu 0.497 0.821 0.342
Cu 0.818 0.697 0.258
Cu 0.982 0.503 0.342
Cu 0.000 0.000 0.000
Cu 0.219 0.299 0.057
Cu 0.701 0.978 0.057
Cu 0.419 0.098 0.457
Cu 0.979 0.220 0.943
Cu 0.222 0.581 0.457
Cu 0.621 0.182 0.258
Cu 0.303 0.379 0.258
Cu 0.020 0.497 0.657
Cu 0.200 0.800 0.399
Cu 0.778 0.419 0.543
Cu 0.578 0.619 0.143
Cu 0.821 0.980 0.657
Cu 0.800 0.200 0.600
Cu 0.581 0.901 0.543
Cu 0.179 0.018 0.342
Cu 0.618 0.896 0.857
Cu 0.104 0.579 0.857
Cu 0.902 0.778 0.457
Cu 0.696 0.621 0.743
Cu 0.182 0.304 0.743
Cu 0.379 0.818 0.743
Cu 0.381 0.102 0.143
Cu 0.099 0.222 0.543
Cu 0.503 0.179 0.657
Cu 0.421 0.382 0.857
Cu 0.600 0.400 0.201
Cu 0.898 0.422 0.143
O 0.939 0.448 0.897
O 0.552 0.388 0.897
O 0.188 0.139 0.703
O 0.635 0.221 0.717
O 0.988 0.339 0.303
O 0.668 0.829 0.691
O 0.231 0.623 0.922
O 0.729 0.469 0.710
O 0.430 0.871 0.510
O 0.861 0.752 0.703
O 0.339 0.048 0.697
O 0.139 0.248 0.297
O 0.269 0.230 0.890
O 0.621 0.469 0.084
O 0.589 0.738 0.502
O 0.063 0.552 0.104
O 0.414 0.263 0.496
O 0.021 0.070 0.883
O 0.248 0.812 0.703
O 0.531 0.235 0.084
O 0.500 0.500 0.499
O 0.448 0.614 0.104
O 0.952 0.987 0.697
O 0.569 0.577 0.678
O 0.629 0.671 0.909
O 0.220 0.869 0.285
O 0.070 0.165 0.117
O 0.436 0.420 0.315
O 0.071 0.731 0.890
O 0.048 0.012 0.303
O 0.331 0.170 0.310
O 0.471 0.769 0.922
O 0.580 0.331 0.315
O 0.423 0.671 0.678
O 0.013 0.661 0.697
O 0.471 0.332 0.691
O 0.370 0.329 0.090
O 0.929 0.269 0.110
O 0.661 0.952 0.303
O 0.230 0.071 0.110
O 0.377 0.529 0.922
O 0.869 0.630 0.090
O 0.035 0.821 0.516
O 0.211 0.462 0.098
O 0.386 0.937 0.104
O 0.812 0.861 0.297
O 0.329 0.868 0.909
O 0.461 0.152 0.903
O 0.979 0.930 0.117
O 0.179 0.731 0.516
O 0.100 0.900 0.700
O 0.671 0.131 0.090
O 0.765 0.379 0.084
O 0.965 0.179 0.483
O 0.469 0.030 0.290
O 0.153 0.789 0.098
O 0.271 0.531 0.290
O 0.752 0.188 0.297
O 0.129 0.069 0.510
O 0.871 0.931 0.490
O 0.570 0.129 0.490
O 0.731 0.770 0.110
O 0.770 0.929 0.890
O 0.821 0.270 0.483
O 0.835 0.021 0.117
O 0.171 0.529 0.691
O 0.352 0.586 0.496
O 0.364 0.780 0.285
O 0.700 0.300 0.900
O 0.787 0.539 0.903
O 0.262 0.353 0.502
O 0.529 0.669 0.310
O 0.779 0.130 0.717
O 0.269 0.965 0.516
O 0.848 0.213 0.903
O 0.165 0.979 0.883
O 0.970 0.729 0.290
O 0.131 0.636 0.285
O 0.612 0.061 0.897
O 0.069 0.430 0.490
O 0.030 0.271 0.710
O 0.647 0.411 0.502
O 0.930 0.835 0.883
O 0.669 0.564 0.315
O 0.300 0.700 0.101
O 0.870 0.365 0.717
O 0.132 0.371 0.909
O 0.931 0.570 0.510
O 0.900 0.100 0.300
O 0.538 0.847 0.098
O 0.730 0.035 0.483
O 0.329 0.431 0.678
O 0.737 0.648 0.496
O 0.830 0.471 0.310
O 0.531 0.970 0.710
V 0.089 0.084 0.197
V 0.111 0.715 0.201
V 0.595 0.686 0.609
V 0.888 0.284 0.797
V 0.314 0.519 0.609
V 0.084 0.799 0.803
V 0.711 0.116 0.403
V 0.001 0.289 0.403
V 0.201 0.088 0.803
V 0.205 0.514 0.991
V 0.397 0.311 0.399
V 0.799 0.911 0.197
V 0.512 0.316 0.003
V 0.515 0.603 0.399
V 0.999 0.712 0.597
V 0.481 0.405 0.609
V 0.599 0.112 0.797
V 0.801 0.488 0.003
V 0.285 0.597 0.201
V 0.716 0.401 0.797
V 0.689 0.485 0.399
V 0.288 0.884 0.597
V 0.116 0.001 0.597
V 0.916 0.201 0.197
V 0.684 0.199 0.003
V 0.884 0.999 0.403
V 0.486 0.681 0.991
V 0.319 0.795 0.991
V 0.403 0.889 0.201
V 0.912 0.916 0.803


Entry 3:
Li4Cr3Fe5O16: optimized geometry, PBE+U.

- Space group: P1 (1)

Lattice parameters (Å, degrees): 5.889 5.901 9.565 89.99 90.56 119.58
Fractional coordinates of all 28 atoms:
O 0.651 0.326 0.603
O 0.472 0.512 0.335
O 0.038 0.512 0.334
O 0.468 0.959 0.339
O 0.678 0.834 0.600
O 0.318 0.666 0.105
O 0.016 0.009 0.810
O 0.844 0.171 0.103
O 0.008 0.999 0.309
O 0.516 0.482 0.838
O 0.167 0.835 0.601
O 0.960 0.484 0.838
O 0.328 0.174 0.107
O 0.846 0.677 0.100
O 0.173 0.325 0.600
O 0.506 0.039 0.839
Cr 0.345 0.170 0.715
Cr 0.174 0.832 0.218
Cr 0.165 0.335 0.212
Fe 0.660 0.824 0.213
Fe 0.668 0.342 0.990
Fe 0.832 0.663 0.715
Fe 0.833 0.170 0.713
Fe 0.331 0.661 0.492
Li 0.330 0.668 0.892
Li 0.664 0.332 0.394
Li 0.004 0.000 0.996
Li 0.004 0.000 0.496


Entry 4:
VZnNiP2O9: optimized geometry, PBE+U.

- Space group: P2_1/m (11)

Lattice parameters (Å, degrees): 6.255 7.368 14.169 89.95 90.00 90.00
Fractional coordinates of all 56 atoms:
O 0.250 0.333 0.479
O 0.750 0.996 0.490
O 0.962 0.110 0.138
O 0.750 0.504 0.990
O 0.250 0.461 0.228
O 0.250 0.646 0.556
O 0.250 0.854 0.056
O 0.250 0.004 0.510
O 0.750 0.833 0.021
O 0.750 0.354 0.444
O 0.562 0.627 0.137
O 0.939 0.873 0.637
O 0.462 0.890 0.862
O 0.462 0.610 0.362
O 0.750 0.667 0.521
O 0.538 0.390 0.638
O 0.750 0.207 0.758
O 0.250 0.496 0.010
O 0.250 0.167 0.979
O 0.438 0.373 0.862
O 0.750 0.539 0.772
O 0.038 0.610 0.362
O 0.938 0.627 0.137
O 0.250 0.793 0.242
O 0.750 0.961 0.272
O 0.438 0.127 0.362
O 0.250 0.039 0.729
O 0.038 0.890 0.862
O 0.562 0.873 0.637
O 0.062 0.127 0.362
O 0.750 0.146 0.944
O 0.750 0.293 0.257
O 0.062 0.373 0.862
O 0.250 0.708 0.743
O 0.538 0.110 0.138
O 0.962 0.390 0.638
Zn 0.250 0.385 0.721
Zn 0.750 0.886 0.779
Zn 0.750 0.615 0.279
Zn 0.250 0.114 0.221
P 0.750 0.855 0.567
P 0.750 0.645 0.067
P 0.750 0.384 0.696
P 0.750 0.116 0.196
P 0.250 0.355 0.933
P 0.250 0.616 0.304
P 0.250 0.884 0.804
P 0.250 0.145 0.433
V 0.250 0.846 0.617
V 0.250 0.654 0.117
V 0.750 0.154 0.383
V 0.750 0.346 0.883
Ni 0.000 0.500 0.500
Ni 0.500 0.000 0.000
Ni 0.500 0.500 0.500
Ni 0.000 0.000 0.000


no.,energy of formation (eV per atom)
1,-2.7967
2,-1.7735
3,-1.8943
4,-2.3344